First-principles (r2SCAN) data for crystalline K3Na at its relaxed geometry, as listed in the Materials Project.

Output
uncorrected energy = -21.51 eV/cell

Cell lengths 7.1739, 7.1739, 7.1739 Å; angles 60.00, 60.00, 60.00 degrees
Element x y z (fractional)
1 K 0.5000 0.5000 0.5000
2 K 0.7500 0.7500 0.7500
3 K 0.2500 0.2500 0.2500
4 Na 0.0000 0.0000 0.0000



First-principles (r2SCAN) data for crystalline Tm2TeO6 at its relaxed geometry, as listed in the Materials Project.

Output
uncorrected energy = -629.56 eV/cell

Cell lengths 5.1793, 8.9457, 9.7981 Å; angles 90.00, 90.00, 90.00 degrees
Element x y z (fractional)
1 Tm 0.4603 0.7171 0.1340
2 O 0.9101 0.1563 0.0293
3 O 0.1775 0.8590 0.6796
4 O 0.5899 0.8437 0.5292
5 Te 0.9621 0.5051 0.3506
6 O 0.3097 0.1424 0.7631
7 O 0.7644 0.8844 0.0708
8 Tm 0.0397 0.2829 0.6340
9 O 0.3306 0.4493 0.6974
10 O 0.2572 0.0851 0.5041
11 O 0.6775 0.6410 0.3204
12 Tm 0.5177 0.1041 0.9629
13 Tm 0.9823 0.8959 0.4629
14 Te 0.5379 0.4949 0.8506
15 Tm 0.9603 0.7829 0.8660
16 O 0.1693 0.5507 0.1974
17 Tm 0.4823 0.6041 0.5371
18 Tm 0.0177 0.3959 0.0371
19 O 0.8097 0.3576 0.2369
20 Te 0.0379 0.0051 0.1494
21 O 0.0899 0.6563 0.4708
22 O 0.8306 0.0507 0.3026
23 O 0.6693 0.9493 0.8026
24 O 0.1903 0.8576 0.2631
25 O 0.4100 0.3437 0.9708
26 O 0.2644 0.6156 0.9292
27 O 0.7572 0.4149 0.4959
28 O 0.2428 0.9149 0.0041
29 O 0.8225 0.3590 0.8204
30 O 0.7428 0.5851 0.9959
31 Te 0.4621 0.9949 0.6494
32 Tm 0.5397 0.2171 0.3660
33 O 0.6903 0.6424 0.7369
34 O 0.2356 0.3844 0.4292
35 O 0.3225 0.1410 0.1796
36 O 0.7356 0.1156 0.5708



First-principles (r2SCAN) data for crystalline PmHgAu2 at its relaxed geometry, as listed in the Materials Project.

Output
uncorrected energy = -182.70 eV/cell

Cell lengths 4.9941, 4.9941, 4.9941 Å; angles 60.00, 60.00, 60.00 degrees
Element x y z (fractional)
1 Pm 0.7500 0.7500 0.7500
2 Hg 0.2500 0.2500 0.2500
3 Au 0.0000 0.0000 0.0000
4 Au 0.5000 0.5000 0.5000



In order of appearance, spin magnetization = 0.00; 0.00; 0.00 μB per formula unit.
In order of appearance, ρ = 0.892; 8.215; 13.942 Mg/m³.